[1]
Entry from Materials Project: an optimized crystal structure of Ba3P4O13 (PBE-GGA).

Calculated values
distance to the lowest polymorph of the same formula	68.0	kJ per mole of atoms
E_form	-2409	meV/atom
calculated volume	333.8	Å³ per cell
density	3.70	g/cm3
total DFT energy (no corrections)	-6.694	eV/atom

```
20
Lattice="6.9154 0.0000 0.0000 3.2910 6.5423 0.0000 1.5356 1.2611 7.3782" Properties=species:S:1:pos:R:3 pbc="T T T"
Ba 0.0000 0.0000 0.0000
Ba 3.0556 4.4596 5.8708
Ba 7.0393 5.6296 2.4004
P 0.9278 0.8360 3.5325
P 1.9332 2.5437 2.5698
P 4.9889 3.2093 0.5390
P 8.2365 7.4015 5.7649
O 4.6635 6.9678 4.9005
O 4.3202 6.2976 2.4559
O 5.2698 5.1161 7.2481
O 3.4885 2.0011 2.6192
O 3.8460 1.8012 6.2476
O 4.1813 1.6835 1.3148
O 7.8646 6.2221 4.8870
O 5.8229 1.9239 4.7573
O 7.3494 3.6012 6.9150
O 9.1811 6.9361 6.9128
O 6.2411 1.2340 3.4934
O 8.8047 3.7923 3.4378
O 8.2304 2.6322 1.2016
```

***

[2]
Entry from Materials Project: an optimized crystal structure of ZrCoSi (PBE-GGA).

Calculated values
E_form	-581	meV/atom
calculated volume	172.8	Å³ per cell
density	6.85	g/cm3
total DFT energy (no corrections)	-7.632	eV/atom

```
12
Lattice="7.9200 0.0000 0.0000 0.0000 2.5453 4.2861 0.0000 -2.5453 4.2861" Properties=species:S:1:pos:R:3 pbc="T T T"
Zr 1.4298 0.0000 0.0000
Zr 2.3618 0.0000 5.7525
Zr 5.5582 0.0000 5.7525
Zr 6.4903 0.0000 0.0000
Co 0.0000 -1.2842 6.3572
Co 0.0000 1.2842 6.3572
Co 2.1287 0.0000 2.9460
Co 5.7913 0.0000 2.9460
Si 0.0000 0.0000 4.1635
Si 3.9600 -1.2987 3.5970
Si 3.9600 0.0000 1.4367
Si 3.9600 1.2987 3.5970
```

***

[3]
Entry from Materials Project: an optimized crystal structure of BaCaPrSbO6 (PBE-GGA).

Calculated values
distance to the lowest polymorph of the same formula	0.0	kJ per mole of atoms
E_form	-2966	meV/atom
calculated volume	622.0	Å³ per cell
density	5.72	g/cm3
total DFT energy (no corrections)	-6.806	eV/atom

```
40
Lattice="8.5223 0.0000 0.0000 0.0000 8.5325 0.0000 0.0000 0.0000 8.5540" Properties=species:S:1:pos:R:3 pbc="T T T"
Ba 0.0000 0.0000 0.0000
Ba 0.0000 0.0000 4.2770
Ba 0.0000 4.2663 0.0000
Ba 4.2611 4.2663 4.2770
Ca 0.0000 4.2663 4.2770
Ca 4.2611 0.0000 0.0000
Ca 4.2611 0.0000 4.2770
Ca 4.2611 4.2663 0.0000
Pr 2.1733 2.1521 2.1455
Pr 2.1733 6.3804 6.4085
Pr 6.3490 2.1521 6.4085
Pr 6.3490 6.3804 2.1455
Sb 2.1883 2.1215 6.4025
Sb 2.1883 6.4111 2.1515
Sb 6.3340 2.1215 2.1515
Sb 6.3340 6.4111 6.4025
O 0.1906 2.3396 6.7190
O 0.1906 6.1929 1.8350
O 1.7829 2.6063 4.4583
O 1.7829 5.9262 4.0957
O 1.9048 0.1474 6.1315
O 1.9048 8.3851 2.4225
O 2.5580 1.7484 8.3780
O 2.5580 6.7841 0.1761
O 2.5798 4.0715 6.8235
O 2.5798 4.4610 1.7305
O 4.1062 1.7865 5.8985
O 4.1062 6.7460 2.6555
O 4.4160 1.7865 2.6555
O 4.4160 6.7460 5.8985
O 5.9425 4.0715 1.7305
O 5.9425 4.4610 6.8235
O 5.9643 1.7484 0.1761
O 5.9643 6.7841 8.3780
O 6.6175 0.1474 2.4225
O 6.6175 8.3851 6.1315
O 6.7394 2.6063 4.0957
O 6.7394 5.9262 4.4583
O 8.3316 2.3396 1.8350
O 8.3316 6.1929 6.7190
```